Here is a geometry-optimized Na4Zr3ZnP6O24 structure from Materials Project. Energies are from PBE-GGA.

## Properties
For the total energy, the calculation gives -7.34 eV/atom.

POSCAR file:
```
Na4Zr3ZnP6O24
1.0
8.973 -0.007 0.003
-4.493 7.794 -0.002
0.008 -0.002 23.108
O P Na Zr Zn
72 18 12 9 3
direct
0.644 0.504 0.923 O
0.887 0.525 0.142 O
0.140 0.493 0.577 O
0.173 0.977 0.911 O
0.023 0.195 0.910 O
0.829 0.023 0.089 O
0.856 0.505 0.423 O
0.477 0.113 0.643 O
0.844 0.523 0.746 O
0.690 0.162 0.747 O
0.683 0.525 0.245 O
0.828 0.803 0.589 O
0.211 0.032 0.304 O
0.519 0.878 0.360 O
0.165 0.473 0.256 O
0.532 0.843 0.468 O
0.525 0.691 0.256 O
0.308 0.834 0.256 O
0.794 0.974 0.696 O
0.354 0.860 0.576 O
0.353 0.493 0.076 O
0.637 0.112 0.142 O
0.979 0.798 0.804 O
0.506 0.860 0.076 O
0.201 0.177 0.804 O
0.861 0.357 0.923 O
0.467 0.311 0.032 O
0.886 0.361 0.643 O
0.033 0.208 0.197 O
0.124 0.481 0.860 O
0.475 0.363 0.142 O
0.690 0.541 0.527 O
0.466 0.155 0.533 O
0.796 0.826 0.199 O
0.140 0.647 0.076 O
0.155 0.465 0.969 O
0.822 0.023 0.803 O
0.803 0.969 0.412 O
0.977 0.171 0.589 O
0.524 0.840 0.756 O
0.506 0.647 0.576 O
0.496 0.139 0.923 O
0.643 0.139 0.422 O
0.176 0.968 0.197 O
0.314 0.468 0.469 O
0.476 0.158 0.244 O
0.538 0.690 0.971 O
0.013 0.825 0.413 O
0.815 0.784 0.308 O
0.515 0.642 0.863 O
0.172 0.193 0.412 O
0.805 0.828 0.911 O
0.121 0.642 0.361 O
0.845 0.311 0.533 O
0.844 0.534 0.032 O
0.174 0.205 0.697 O
0.358 0.876 0.861 O
0.362 0.484 0.361 O
0.965 0.177 0.304 O
0.311 0.845 0.969 O
0.301 0.468 0.757 O
0.468 0.303 0.745 O
0.689 0.155 0.032 O
0.152 0.686 0.469 O
0.635 0.515 0.637 O
0.976 0.806 0.089 O
0.195 0.023 0.590 O
0.167 0.694 0.757 O
0.503 0.367 0.423 O
0.194 0.171 0.089 O
0.842 0.317 0.244 O
0.031 0.824 0.697 O
0.376 0.334 0.086 P
0.996 0.705 0.750 P
0.666 0.042 0.086 P
0.626 0.666 0.918 P
0.330 0.369 0.417 P
0.958 0.624 0.086 P
0.708 0.001 0.750 P
0.293 0.290 0.749 P
0.335 0.960 0.916 P
0.709 0.707 0.253 P
0.958 0.335 0.587 P
0.377 0.041 0.587 P
0.665 0.622 0.584 P
0.997 0.289 0.252 P
0.293 0.003 0.251 P
0.041 0.374 0.916 P
0.037 0.670 0.417 P
0.630 0.961 0.416 P
0.986 0.627 0.246 Na
0.642 0.014 0.246 Na
0.011 0.011 0.494 Na
0.708 0.677 0.414 Na
0.666 0.344 0.831 Na
0.986 0.362 0.744 Na
0.344 0.666 0.662 Na
0.666 0.324 0.332 Na
0.000 0.000 0.001 Na
0.372 0.358 0.246 Na
0.375 0.011 0.744 Na
0.333 0.667 0.162 Na
0.333 0.666 0.021 Zr
0.999 0.998 0.854 Zr
0.000 0.000 0.146 Zr
0.666 0.327 0.483 Zr
0.667 0.332 0.982 Zr
0.339 0.666 0.816 Zr
0.997 0.996 0.644 Zr
0.331 0.667 0.317 Zr
0.331 0.666 0.520 Zr
0.666 0.342 0.678 Zn
0.667 0.333 0.176 Zn
0.009 0.010 0.351 Zn
```

---

Here is a geometry-optimized Na8ZrZn3P6O24 structure from Materials Project. Energies are from PBE-GGA.

## Properties
For the total energy, the calculation gives -6.35 eV/atom.

POSCAR file:
```
Na8ZrZn3P6O24
1.0
9.112 0.000 0.000
-4.556 7.891 0.000
0.000 0.000 22.252
O P Zn Na Zr
72 18 9 24 3
direct
0.550 0.854 0.475 O
0.812 0.029 0.808 O
0.479 0.116 0.643 O
0.142 0.647 0.078 O
0.016 0.191 0.911 O
0.782 0.813 0.192 O
0.304 0.450 0.475 O
0.476 0.161 0.245 O
0.884 0.363 0.643 O
0.194 0.171 0.085 O
0.809 0.984 0.413 O
0.142 0.494 0.580 O
0.176 0.191 0.413 O
0.849 0.310 0.530 O
0.637 0.120 0.139 O
0.361 0.877 0.861 O
0.123 0.484 0.861 O
0.353 0.495 0.078 O
0.115 0.631 0.362 O
0.035 0.818 0.695 O
0.182 0.218 0.695 O
0.194 0.024 0.588 O
0.505 0.858 0.078 O
0.814 0.784 0.306 O
0.217 0.188 0.808 O
0.352 0.858 0.580 O
0.148 0.453 0.973 O
0.459 0.311 0.026 O
0.858 0.505 0.424 O
0.146 0.696 0.475 O
0.977 0.806 0.085 O
0.216 0.030 0.306 O
0.647 0.142 0.424 O
0.682 0.158 0.746 O
0.162 0.686 0.757 O
0.689 0.149 0.026 O
0.782 0.965 0.695 O
0.686 0.524 0.245 O
0.516 0.639 0.861 O
0.475 0.318 0.746 O
0.516 0.885 0.362 O
0.525 0.838 0.757 O
0.314 0.839 0.254 O
0.369 0.484 0.362 O
0.829 0.023 0.085 O
0.690 0.539 0.530 O
0.030 0.218 0.192 O
0.506 0.648 0.580 O
0.970 0.186 0.306 O
0.484 0.363 0.139 O
0.305 0.852 0.973 O
0.830 0.806 0.588 O
0.497 0.140 0.921 O
0.314 0.475 0.757 O
0.880 0.516 0.139 O
0.644 0.503 0.921 O
0.461 0.151 0.530 O
0.839 0.314 0.245 O
0.175 0.984 0.911 O
0.187 0.970 0.192 O
0.161 0.476 0.254 O
0.860 0.356 0.921 O
0.524 0.686 0.254 O
0.016 0.824 0.413 O
0.495 0.353 0.424 O
0.976 0.170 0.588 O
0.637 0.521 0.643 O
0.809 0.825 0.911 O
0.971 0.783 0.808 O
0.851 0.541 0.026 O
0.842 0.525 0.746 O
0.547 0.695 0.973 O
0.297 0.000 0.250 P
0.665 0.034 0.085 P
0.666 0.631 0.586 P
0.331 0.961 0.918 P
0.966 0.631 0.085 P
0.041 0.669 0.417 P
0.331 0.372 0.417 P
0.369 0.335 0.085 P
0.000 0.297 0.250 P
0.965 0.334 0.586 P
0.294 0.292 0.750 P
0.708 0.002 0.750 P
0.630 0.669 0.918 P
0.998 0.706 0.750 P
0.039 0.370 0.918 P
0.369 0.035 0.586 P
0.703 0.703 0.250 P
0.628 0.959 0.417 P
0.333 0.667 0.510 Zn
0.333 0.667 0.018 Zn
0.000 0.000 0.342 Zn
0.333 0.667 0.317 Zn
0.000 0.000 0.160 Zn
0.000 0.000 0.844 Zn
0.667 0.333 0.184 Zn
0.667 0.333 0.677 Zn
0.000 0.000 0.651 Zn
0.000 0.000 0.497 Na
0.632 0.999 0.251 Na
0.320 0.023 0.409 Na
0.667 0.333 0.325 Na
0.643 0.631 0.743 Na
0.037 0.332 0.091 Na
0.988 0.357 0.743 Na
0.667 0.333 0.827 Na
0.367 0.368 0.251 Na
0.296 0.335 0.581 Na
0.977 0.297 0.409 Na
0.707 0.027 0.915 Na
0.973 0.679 0.915 Na
0.668 0.705 0.091 Na
0.703 0.680 0.409 Na
0.001 0.633 0.251 Na
0.295 0.963 0.091 Na
0.333 0.667 0.657 Na
0.369 0.012 0.743 Na
0.039 0.704 0.581 Na
0.321 0.293 0.915 Na
0.000 0.000 0.005 Na
0.665 0.961 0.581 Na
0.333 0.667 0.172 Na
0.333 0.667 0.815 Zr
0.667 0.333 0.482 Zr
0.667 0.333 0.985 Zr
```

---

Here is a geometry-optimized NaZrP2O8 structure from Materials Project. Energies are from PBE-GGA.

## Properties
For the total energy, the calculation gives -7.40 eV/atom.

POSCAR file:
```
NaZrP2O8
1.0
-4.765 -2.564 -0.630
2.314 -5.886 6.456
-4.233 4.099 15.333
O Na Zr P
32 4 4 8
direct
0.496 0.732 0.611 O
0.208 0.512 0.917 O
0.958 0.227 0.083 O
0.262 0.187 0.283 O
0.961 0.737 0.609 O
0.738 0.187 0.783 O
0.275 0.215 0.718 O
0.274 0.997 0.453 O
0.274 0.003 0.047 O
0.503 0.280 0.069 O
0.504 0.732 0.111 O
0.039 0.737 0.109 O
0.275 0.785 0.782 O
0.262 0.813 0.217 O
0.039 0.263 0.391 O
0.792 0.512 0.417 O
0.726 0.003 0.547 O
0.725 0.785 0.282 O
0.961 0.263 0.891 O
0.042 0.773 0.917 O
0.042 0.227 0.583 O
0.958 0.773 0.417 O
0.725 0.215 0.218 O
0.792 0.488 0.083 O
0.497 0.720 0.931 O
0.504 0.268 0.389 O
0.726 0.997 0.953 O
0.208 0.488 0.583 O
0.738 0.813 0.717 O
0.503 0.720 0.431 O
0.497 0.280 0.569 O
0.496 0.268 0.889 O
0.034 0.000 0.250 Na
0.836 0.500 0.250 Na
0.164 0.500 0.750 Na
0.966 0.000 0.750 Na
0.766 0.745 0.013 Zr
0.766 0.255 0.487 Zr
0.234 0.745 0.513 Zr
0.234 0.255 0.987 Zr
0.274 0.177 0.379 P
0.726 0.823 0.621 P
0.260 0.303 0.613 P
0.274 0.823 0.121 P
0.260 0.697 0.887 P
0.726 0.177 0.879 P
0.740 0.303 0.113 P
0.740 0.697 0.387 P
```